Entry from Materials Project: an optimized crystal structure of SrCd2Sb2 (PBE).

Output
ΔE_f ... -0.58 eV per atom
Calculated volume ... 157.56 Å³ per cell

Unit cell a=4.7972 b=4.7972 c=7.9056 alpha=90.00 beta=90.00 gamma=120.00
Space group P-3m1 (No. 164)
Symmetry-distinct sites (fractional):
Sr 0.0000 0.0000 0.0000 (multiplicity 1)
Cd 0.3333 0.6667 0.3678 (multiplicity 2)
Sb 0.3333 0.6667 0.7502 (multiplicity 2)

=====

Entry from Materials Project: an optimized crystal structure of Cs2RbScCl6 (PBE).

Output
ΔE_f ... -2.44 eV per atom
Calculated volume ... 1439.38 Å³ per cell

Unit cell a=11.291 b=11.291 c=11.291 alpha=90.00 beta=90.00 gamma=90.00
Space group Fm-3m (No. 225)
Symmetry-distinct sites (fractional):
Cs 0.250 0.250 0.250 (multiplicity 8)
Rb 0.000 0.000 0.000 (multiplicity 4)
Sc 0.000 0.000 0.500 (multiplicity 4)
Cl 0.000 0.000 0.278 (multiplicity 24)

=====

Entry from Materials Project: an optimized crystal structure of Ba3Sr3Sb2N2 (PBE).

Output
Total moment ... 0.003 μB per formula unit
ΔE_f ... -0.93 eV per atom
Calculated volume ... 627.22 Å³ per cell

Unit cell a=7.5468 b=7.5468 c=12.7165 alpha=90.00 beta=90.00 gamma=120.00
Space group P6_3/mmc (No. 194)
Symmetry-distinct sites (fractional):
Ba 0.1727 0.3454 0.2500 (multiplicity 6)
Sr 0.0000 0.5000 0.0000 (multiplicity 6)
Sb 0.0000 0.0000 0.0000 (multiplicity 2)
Sb 0.3333 0.6667 0.7500 (multiplicity 2)
N 0.3333 0.6667 0.1127 (multiplicity 4)

=====

Entry from Materials Project: an optimized crystal structure of Mg16Al12Pd (PBE).

Output
Total moment ... 0.004 μB per formula unit
Energy relative to the lowest polymorph listed for this composition ... 15.0 meV/atom
ΔE_f ... -0.06 eV per atom
Calculated volume ... 1722.32 Å³ per cell

Unit cell a=14.6918 b=14.6918 c=9.2137 alpha=90.00 beta=90.00 gamma=120.00
Space group R3m (No. 160, hexagonal axes)
Symmetry-distinct sites (fractional):
Mg 0.0000 0.0000 0.0000 (multiplicity 3)
Mg 0.0151 0.3076 0.2939 (multiplicity 18)
Mg 0.0639 0.5319 0.2055 (multiplicity 9)
Mg 0.1845 0.0922 0.5039 (multiplicity 9)
Mg 0.2166 0.4332 0.7728 (multiplicity 9)
Al 0.0006 0.1820 0.8063 (multiplicity 18)
Al 0.0629 0.1257 0.2807 (multiplicity 9)
Al 0.0782 0.5391 0.7169 (multiplicity 9)
Pd 0.0000 0.0000 0.7143 (multiplicity 3)

=====

Entry from Materials Project: an optimized crystal structure of Al2Cu (PBE).

Output
ΔE_f ... -0.18 eV per atom
Calculated volume ... 192.01 Å³ per cell

Unit cell a=5.769 b=5.769 c=5.769 alpha=90.00 beta=90.00 gamma=90.00
Space group Fm-3m (No. 225)
Symmetry-distinct sites (fractional):
Al 0.250 0.250 0.250 (multiplicity 8)
Cu 0.000 0.000 0.000 (multiplicity 4)

=====

Entry from Materials Project: an optimized crystal structure of Hf4NiP (PBE).

Output
Total moment ... 0.000 μB per formula unit
ΔE_f ... -0.64 eV per atom
Calculated volume ... 216.36 Å³ per cell

Unit cell a=6.425 b=6.425 c=5.240 alpha=90.00 beta=90.00 gamma=90.00
Space group P4/mcc (No. 124)
Symmetry-distinct sites (fractional):
Hf 0.158 0.338 0.000 (multiplicity 8)
Ni 0.000 0.000 0.250 (multiplicity 2)
P 0.500 0.500 0.250 (multiplicity 2)

=====

Entry from Materials Project: an optimized crystal structure of SmTlO2 (PBE).

Output
Total moment ... 0.000 μB per formula unit
ΔE_f ... -2.62 eV per atom
Calculated volume ... 220.63 Å³ per cell

Unit cell a=3.6116 b=3.6116 c=19.5317 alpha=90.00 beta=90.00 gamma=120.00
Space group R-3m (No. 166, hexagonal axes)
Symmetry-distinct sites (fractional):
Sm 0.0000 0.0000 0.0000 (multiplicity 3)
Tl 0.0000 0.0000 0.5000 (multiplicity 3)
O 0.0000 0.0000 0.2747 (multiplicity 6)

=====

Entry from Materials Project: an optimized crystal structure of Sr2LiTi6N2O11 (PBE).

Output
Total moment ... 0.048 μB per formula unit
Energy relative to the lowest polymorph listed for this composition ... 0.0 meV/atom
ΔE_f ... -3.05 eV per atom
Calculated volume ... 546.25 Å³ per cell

Unit cell a=15.103 b=3.887 c=9.388 alpha=90.00 beta=97.66 gamma=90.00
Space group Cm (No. 8)
Symmetry-distinct sites (fractional):
Sr 0.000 0.000 0.000 (multiplicity 2)
Sr 0.084 0.000 0.536 (multiplicity 2)
Li 0.317 0.500 0.808 (multiplicity 2)
Ti 0.147 0.500 0.848 (multiplicity 2)
Ti 0.198 0.500 0.205 (multiplicity 2)
Ti 0.269 0.500 0.527 (multiplicity 2)
Ti 0.295 0.000 0.015 (multiplicity 2)
Ti 0.367 0.000 0.343 (multiplicity 2)
Ti 0.405 0.000 0.665 (multiplicity 2)
N 0.198 0.500 0.678 (multiplicity 2)
N 0.298 0.000 0.512 (multiplicity 2)
O 0.027 0.500 0.778 (multiplicity 2)
O 0.096 0.500 0.082 (multiplicity 2)
O 0.158 0.000 0.894 (multiplicity 2)
O 0.159 0.500 0.383 (multiplicity 2)
O 0.231 0.000 0.198 (multiplicity 2)
O 0.270 0.500 0.000 (multiplicity 2)
O 0.337 0.500 0.324 (multiplicity 2)
O 0.355 0.000 0.846 (multiplicity 2)
O 0.399 0.500 0.659 (multiplicity 2)
O 0.402 0.000 0.138 (multiplicity 2)
O 0.470 0.000 0.471 (multiplicity 2)